No. 1
Gd3Br2O6: relaxed, PBE-GGA.

## Properties
Magnetization in μB/f.u.: 16.0
Crystal system: orthorhombic
Energy of formation from the pure elements in meV per atom: -2297

abc: 4.0226 7.5283 13.8397
angles: 90.00 90.00 90.00
Fractional positions:
O: 0.2393 0.2288 0.5000
Gd: 0.2394 0.6344 0.0000
Gd: 0.2351 0.0433 0.6381
O: 0.7393 0.7712 0.0000
O: 0.7377 0.2090 0.3601
O: 0.1845 0.8771 0.5000
Gd: 0.7351 0.9567 0.8619
O: 0.7345 0.9222 0.3076
O: 0.6845 0.1229 0.0000
Br: 0.7461 0.3924 0.1217
O: 0.2377 0.7910 0.1399
Br: 0.2461 0.6076 0.3783
O: 0.2377 0.7910 0.8601
O: 0.2345 0.0778 0.1924
Gd: 0.2351 0.0433 0.3619
O: 0.7345 0.9222 0.6924
O: 0.2345 0.0778 0.8076
Br: 0.2461 0.6076 0.6217
O: 0.7377 0.2090 0.6399
Gd: 0.7394 0.3656 0.5000
Br: 0.7461 0.3924 0.8783
Gd: 0.7351 0.9567 0.1381

No. 2
Na10La2Ta6Si11SO48: relaxed, PBE-GGA.

## Properties
Magnetization in μB/f.u.: 0.0
Crystal system: triclinic
Energy of formation from the pure elements in meV per atom: -3044

abc: 18.3594 9.1573 22.7711
angles: 90.04 90.05 119.94
Fractional positions:
Ta: 0.8401 0.3473 0.1852
La: 0.0079 0.0009 0.1444
O: 0.5814 0.6931 0.7586
O: 0.3359 0.1568 0.0236
O: 0.3194 0.4954 0.6429
O: 0.4847 0.8067 0.8079
Si: 0.6954 0.3476 0.0799
Na: 0.6479 0.9696 0.0793
Ta: 0.3359 0.3402 0.9785
O: 0.2359 0.1828 0.2544
Si: 0.1956 0.3509 0.0804
O: 0.6823 0.8515 0.5776
Na: 0.0177 0.3253 0.0859
O: 0.9279 0.3600 0.6421
Na: 0.3278 0.3350 0.3330
Na: 0.6611 0.6289 0.1769
Na: 0.8296 0.3395 0.3319
O: 0.4150 0.8113 0.3035
O: 0.7533 0.8365 0.7651
O: 0.7411 0.1483 0.5317
Na: 0.5144 0.3211 0.0843
Si: 0.1946 0.0386 0.5867
O: 0.0739 0.5204 0.5797
Na: 0.6518 0.6384 0.6633
O: 0.8277 0.5029 0.9185
O: 0.2706 0.9230 0.3524
O: 0.1001 0.0064 0.5807
O: 0.5759 0.6239 0.0801
O: 0.7450 0.1388 0.9207
O: 0.4070 0.9744 0.4095
O: 0.7359 0.1845 0.2530
Ta: 0.6669 0.6655 0.0194
O: 0.1886 0.8535 0.5769
Si: 0.8472 0.9984 0.7503
O: 0.6566 0.4832 0.7563
O: 0.5750 0.5074 0.5771
O: 0.6035 0.1815 0.0781
O: 0.0776 0.1879 0.4077
O: 0.5940 0.0166 0.5909
O: 0.5788 0.9714 0.9092
O: 0.0704 0.4874 0.2518
Na: 0.1766 0.6716 0.6699
O: 0.0024 0.7892 0.6870
Ta: 0.3430 0.3364 0.6852
Na: 0.8399 0.3231 0.8329
S: 0.6554 0.0199 0.2511
O: 0.4306 0.3228 0.5235
Ta: 0.8264 0.3254 0.4845
O: 0.5145 0.1888 0.9090
S: 0.1570 0.2880 0.7538
Na: 0.8377 0.7153 0.0874
O: 0.2614 0.6888 0.2534
O: 0.2097 0.4822 0.3651
Si: 0.4840 0.6153 0.0815
Si: 0.3220 0.6735 0.9186
O: 0.1966 0.9305 0.8544
Si: 0.1679 0.3610 0.4212
Ta: 0.9947 0.9974 0.3538
O: 0.4278 0.4996 0.0277
Si: 0.5140 0.6692 0.4199
Ta: 0.4927 0.9981 0.3534
Si: 0.1658 0.9723 0.9150
O: 0.9304 0.4947 0.1358
O: 0.3986 0.2835 0.2476
O: 0.1033 0.0215 0.3046
O: 0.8482 0.5123 0.2446
O: 0.8215 0.1517 0.0277
Ta: 0.6587 0.6593 0.8136
O: 0.2716 0.6209 0.8581
Si: 0.3494 0.6913 0.2475
O: 0.4891 0.1680 0.3018
O: 0.7401 0.8521 0.0772
O: 0.3870 0.7789 0.1851
O: 0.7630 0.6896 0.2522
O: 0.6725 0.8799 0.2564
O: 0.1135 0.9976 0.1979
Si: 0.8148 0.9686 0.4171
Si: 0.6420 0.2903 0.7490
O: 0.0009 0.2186 0.1847
O: 0.1155 0.2162 0.6974
Na: 0.8383 0.6555 0.4177
O: 0.0818 0.4616 0.9752
O: 0.8184 0.5048 0.6439
O: 0.9796 0.1746 0.5770
Si: 0.9784 0.6108 0.0747
La: 0.6626 0.6544 0.3242
O: 0.3546 0.1857 0.7426
Si: 0.8254 0.0411 0.0828
Si: 0.9947 0.2970 0.2463
O: 0.7463 0.1295 0.6459
O: 0.9017 0.8295 0.9056
Na: 0.1853 0.9845 0.7492
O: 0.1500 0.8239 0.9655
O: 0.2656 0.8535 0.7445
Si: 0.8233 0.6139 0.5834
O: 0.0790 0.6949 0.4776
O: 0.2545 0.1637 0.5352
O: 0.1012 0.1970 0.0752
O: 0.6169 0.0019 0.1926
Na: 0.6770 0.0001 0.7490
O: 0.0446 0.4931 0.8648
O: 0.9043 0.5142 0.7484
O: 0.6892 0.5213 0.0781
O: 0.2655 0.6996 0.9719
O: 0.0799 0.6813 0.7524
La: 0.1721 0.6693 0.8214
O: 0.2513 0.3598 0.1403
O: 0.5695 0.4912 0.2529
O: 0.2416 0.3204 0.4405
Ta: 0.5016 0.0033 0.6452
O: 0.4155 0.8109 0.5955
Si: 0.4939 0.3022 0.2470
O: 0.7626 0.8286 0.4698
O: 0.4167 0.5203 0.4332
O: 0.6519 0.8344 0.9759
O: 0.0102 0.8399 0.4077
Ta: 0.8332 0.3355 0.6886
O: 0.5946 0.1640 0.8051
O: 0.2439 0.1596 0.9315
O: 0.9164 0.8121 0.3035
O: 0.8150 0.1329 0.1430
O: 0.1922 0.5287 0.0772
O: 0.5366 0.5892 0.3651
O: 0.0699 0.6195 0.0740
Ta: 0.4999 0.9996 0.8541
O: 0.7367 0.3086 0.4336
O: 0.3471 0.5304 0.5302
Si: 0.4836 0.3339 0.5819
O: 0.7531 0.3618 0.1384
O: 0.5034 0.2333 0.1839
Si: 0.3329 0.6221 0.5871
O: 0.4324 0.3567 0.6385
O: 0.5814 0.6974 0.4740
Ta: 0.1673 0.6702 0.0178
O: 0.7457 0.3431 0.0216
O: 0.5880 0.1991 0.6902
O: 0.8388 0.1693 0.7470
O: 0.2381 0.2841 0.7558
S: 0.1555 0.0184 0.2549
O: 0.5806 0.4690 0.9759
O: 0.9081 0.7958 0.5781
Na: 0.8151 0.6434 0.7467
O: 0.1042 0.1806 0.8038
O: 0.1726 0.4604 0.7559
O: 0.0355 0.5823 0.3681
Si: 0.6614 0.9498 0.9165
O: 0.5110 0.8441 0.4074
O: 0.7479 0.6373 0.8574
O: 0.9209 0.5028 0.0191
O: 0.4138 0.5251 0.7410
O: 0.4242 0.3364 0.9218
O: 0.6714 0.8504 0.8603
O: 0.7078 0.4841 0.3634
Si: 0.6866 0.0348 0.5874
Si: 0.8523 0.6977 0.2463
O: 0.9003 0.2855 0.2462
La: 0.1617 0.6494 0.3255
Na: 0.0168 0.0168 0.5019
O: 0.7706 0.9219 0.3542
O: 0.4057 0.0142 0.0796
O: 0.6002 0.0193 0.2994
O: 0.7629 0.6875 0.9732
O: 0.9128 0.5195 0.4343
Na: 0.5092 0.0004 0.5063
O: 0.9163 0.0210 0.8024
O: 0.9241 0.3539 0.5279
Na: 0.3378 0.7142 0.0851
O: 0.8417 0.1634 0.4330
O: 0.9896 0.1674 0.3029
O: 0.5746 0.1889 0.4065
O: 0.0122 0.1813 0.9063
Na: 0.9890 0.3253 0.4188
O: 0.3455 0.5266 0.9319
Si: 0.0170 0.3640 0.9188
La: 0.9990 0.0088 0.6469
Na: 0.3375 0.6540 0.4180
O: 0.5187 0.8429 0.6948
Ta: 0.8267 0.3187 0.9744
Na: 0.8208 0.9871 0.2549
O: 0.3408 0.1689 0.4296
O: 0.4939 0.1676 0.5887
O: 0.2469 0.1338 0.6480
Na: 0.3470 0.0354 0.9134
Si: 0.5212 0.3725 0.9174
O: 0.1478 0.4691 0.4719
Na: 0.3402 0.3718 0.8334
O: 0.9079 0.9729 0.4098
Ta: 0.3383 0.3454 0.1857
Si: 0.3141 0.9733 0.4157
O: 0.2532 0.3510 0.0264
O: 0.8705 0.9439 0.6892
O: 0.9084 0.0246 0.0778
O: 0.7362 0.3079 0.7433
Na: 0.3189 0.9864 0.2563
Si: 0.6656 0.3603 0.4186
Na: 0.5051 0.9991 0.9960
O: 0.9191 0.3223 0.9293
O: 0.4092 0.8586 0.9146
Si: 0.8066 0.6576 0.9141
Si: 0.3604 0.0096 0.7483
O: 0.2482 0.6372 0.5734
O: 0.1723 0.8785 0.2593
O: 0.8912 0.7901 0.1850
Na: 0.8319 0.9582 0.5829
Ta: 0.1695 0.6688 0.5215
Na: 0.0182 0.7115 0.5848
O: 0.5687 0.4957 0.8612
Ta: 0.9907 0.9888 0.8553
O: 0.0738 0.9642 0.9090
Na: 0.4883 0.3263 0.4185
Si: 0.4964 0.7125 0.7500
Si: 0.9965 0.6958 0.7481
O: 0.4125 0.0217 0.8096
Na: 0.9869 0.6516 0.9156
O: 0.3458 0.5075 0.2470
Si: 0.3246 0.0413 0.0810
Si: 0.9802 0.3502 0.5825
O: 0.6475 0.4696 0.4704
O: 0.8219 0.5007 0.5283
O: 0.9878 0.8099 0.8042
Ta: 0.3351 0.3343 0.4868
O: 0.9819 0.7892 0.0731
O: 0.7416 0.6417 0.5775
O: 0.2387 0.8550 0.0740
Na: 0.1594 0.6421 0.1750
Si: 0.0126 0.6648 0.4225
O: 0.4157 0.9977 0.6940
Ta: 0.6616 0.6619 0.5201
O: 0.3194 0.1397 0.1415
La: 0.4995 0.0026 0.1498
O: 0.4332 0.5034 0.1417
Na: 0.0107 0.0166 0.0001
O: 0.2599 0.8269 0.4661
O: 0.4962 0.8012 0.0781

- Which value of magnetization does entry 2 give?
  0.0 μB/f.u.

- What is the energy of formation from the pure elements in the second record?
  -3044 meV per atom